No. 1
MnSeO4: relaxed, PBE+U.

a b c (Å): 4.921 5.817 12.777
angles (deg): 90.00 90.00 90.00
Sites, in units of the cell vectors:
O  0.115  0.750  0.140
O  0.615  0.250  0.360
O  0.396  0.033  0.823
O  0.604  0.967  0.177
O  0.104  0.033  0.323
O  0.896  0.967  0.677
O  0.323  0.250  0.620
O  0.885  0.250  0.860
O  0.823  0.750  0.880
O  0.604  0.533  0.177
O  0.396  0.467  0.823
O  0.677  0.750  0.380
O  0.896  0.533  0.677
O  0.177  0.250  0.120
O  0.385  0.750  0.640
O  0.104  0.467  0.323
Mn  0.607  0.750  0.772
Mn  0.393  0.250  0.228
Mn  0.893  0.750  0.272
Mn  0.107  0.250  0.728
Se  0.445  0.750  0.103
Se  0.555  0.250  0.897
Se  0.055  0.750  0.603
Se  0.945  0.250  0.397

Properties
Density, kg/m³: 3594
Energy, eV/cell: -142.9

***

No. 2
CoF3: relaxed, PBE+U.

a b c (Å): 5.347 5.345 5.346
angles (deg): 118.35 61.63 118.36
Sites, in units of the cell vectors:
F  0.750  0.250  0.250
F  0.750  0.750  0.250
F  0.250  0.250  0.750
F  0.250  0.250  0.250
F  0.750  0.750  0.750
F  0.250  0.750  0.750
Co  0.000  0.000  0.000
Co  0.500  0.500  0.500

Properties
Density, kg/m³: 3438
Energy, eV/cell: -36.9

***

No. 3
HW2O6: relaxed, PBE+U.

a b c (Å): 5.469 5.469 5.469
angles (deg): 60.00 60.00 60.00
Sites, in units of the cell vectors:
O  0.000  0.500  0.000
O  0.500  0.000  0.500
O  0.500  0.000  0.000
O  0.500  0.500  0.000
O  0.000  0.000  0.500
O  0.000  0.500  0.500
H  0.500  0.500  0.500
W  0.250  0.250  0.250
W  0.750  0.750  0.750

Properties
Density, kg/m³: 6671
ΔE to the lowest computed polymorph, meV/atom: 0

***

No. 4
Co3P2H4O10: relaxed, PBE+U.

a b c (Å): 7.567 7.475 7.611
angles (deg): 62.19 90.00 90.00
Sites, in units of the cell vectors:
O  0.736  0.108  0.942
O  0.754  0.894  0.588
O  0.246  0.106  0.412
O  0.515  0.641  0.184
O  0.370  0.723  0.749
O  0.015  0.859  0.816
O  0.029  0.386  0.328
O  0.971  0.614  0.672
O  0.264  0.892  0.058
O  0.870  0.777  0.251
O  0.985  0.141  0.184
O  0.471  0.886  0.328
O  0.529  0.114  0.672
O  0.130  0.223  0.749
O  0.764  0.608  0.942
O  0.630  0.277  0.251
O  0.236  0.392  0.058
O  0.254  0.606  0.412
O  0.485  0.359  0.816
O  0.746  0.394  0.588
Co  0.000  0.000  0.000
Co  0.225  0.480  0.747
Co  0.275  0.980  0.747
Co  0.725  0.020  0.253
Co  0.775  0.520  0.253
Co  0.500  0.500  0.000
H  0.445  0.764  0.631
H  0.828  0.473  0.632
H  0.172  0.527  0.368
H  0.672  0.973  0.632
H  0.055  0.264  0.631
H  0.328  0.027  0.368
H  0.945  0.736  0.369
H  0.555  0.236  0.369
P  0.882  0.737  0.764
P  0.382  0.763  0.236
P  0.618  0.237  0.764
P  0.118  0.263  0.236

Properties
Density, kg/m³: 3513
Energy, eV/cell: -238.0

***

No. 5
Mn3Zn2O8: relaxed, PBE+U.

a b c (Å): 5.773 5.773 4.973
angles (deg): 78.01 78.01 60.09
Sites, in units of the cell vectors:
O  0.101  0.101  0.620
O  0.658  0.112  0.876
O  0.607  0.607  0.589
O  0.899  0.899  0.380
O  0.393  0.393  0.411
O  0.342  0.888  0.124
O  0.112  0.658  0.876
O  0.888  0.342  0.124
Mn  0.000  0.000  0.000
Mn  0.744  0.256  0.500
Mn  0.256  0.744  0.500
Zn  0.288  0.288  0.119
Zn  0.712  0.712  0.881

Properties
Density, kg/m³: 5043
ΔE to the lowest computed polymorph, meV/atom: 0

***

No. 6
CaAl2Si2W2O8: relaxed, PBE+U.

a b c (Å): 9.481 14.257 14.579
angles (deg): 90.00 90.00 90.00
Sites, in units of the cell vectors:
O  0.245  0.993  0.673
O  0.494  0.425  0.254
O  0.752  0.004  0.810
O  0.143  0.183  0.155
O  0.755  0.493  0.827
O  0.248  0.504  0.690
O  0.480  0.554  0.416
O  0.270  0.140  0.310
O  0.356  0.328  0.131
O  0.144  0.672  0.631
O  0.109  0.131  0.570
O  0.425  0.750  0.925
O  0.018  0.409  0.104
O  0.411  0.402  0.559
O  0.252  0.496  0.190
O  0.730  0.640  0.190
O  0.616  0.214  0.010
O  0.744  0.153  0.700
O  0.980  0.946  0.584
O  0.856  0.172  0.869
O  0.089  0.598  0.059
O  0.756  0.847  0.200
O  0.482  0.591  0.604
O  0.075  0.250  0.425
O  0.020  0.446  0.916
O  0.994  0.075  0.746
O  0.884  0.786  0.510
O  0.589  0.902  0.941
O  0.911  0.098  0.441
O  0.520  0.054  0.084
O  0.244  0.347  0.300
O  0.662  0.674  0.498
O  0.644  0.828  0.369
O  0.857  0.683  0.345
O  0.391  0.869  0.070
O  0.123  0.748  0.956
O  0.518  0.091  0.896
O  0.377  0.252  0.456
O  0.643  0.317  0.845
O  0.255  0.007  0.173
O  0.575  0.250  0.575
O  0.230  0.860  0.810
O  0.506  0.925  0.246
O  0.770  0.360  0.690
O  0.748  0.996  0.310
O  0.623  0.752  0.044
O  0.974  0.554  0.239
O  0.745  0.507  0.327
O  0.609  0.369  0.430
O  0.357  0.817  0.655
O  0.006  0.575  0.754
O  0.162  0.826  0.502
O  0.384  0.714  0.490
O  0.891  0.631  0.930
O  0.116  0.286  0.990
O  0.877  0.248  0.544
O  0.338  0.174  0.002
O  0.474  0.946  0.761
O  0.925  0.750  0.075
O  0.256  0.653  0.800
O  0.838  0.326  0.998
O  0.026  0.054  0.261
O  0.526  0.446  0.739
O  0.982  0.909  0.396
Al  0.081  0.519  0.149
Al  0.242  0.250  0.372
Al  0.241  0.248  0.074
Al  0.258  0.750  0.872
Al  0.074  0.032  0.644
Al  0.419  0.481  0.649
Al  0.259  0.752  0.574
Al  0.919  0.019  0.351
Al  0.759  0.748  0.426
Al  0.574  0.468  0.356
Al  0.758  0.750  0.128
Al  0.426  0.968  0.144
Al  0.926  0.532  0.856
Al  0.581  0.981  0.851
Al  0.742  0.250  0.628
Al  0.741  0.252  0.926
Si  0.503  0.629  0.498
Si  0.832  0.100  0.779
Si  0.173  0.094  0.224
Si  0.332  0.400  0.221
Si  0.997  0.371  0.998
Si  0.495  0.322  0.504
Si  0.668  0.900  0.279
Si  0.505  0.822  0.996
Si  0.995  0.178  0.496
Si  0.005  0.678  0.004
Si  0.673  0.406  0.776
Si  0.168  0.600  0.721
Si  0.497  0.129  0.002
Si  0.003  0.871  0.502
Si  0.827  0.594  0.276
Si  0.327  0.906  0.724
W  0.075  0.792  0.306
W  0.379  0.476  0.959
W  0.821  0.828  0.773
W  0.179  0.328  0.727
W  0.925  0.292  0.194
W  0.679  0.172  0.273
W  0.621  0.976  0.541
W  0.932  0.438  0.608
W  0.568  0.562  0.108
W  0.321  0.672  0.227
W  0.425  0.208  0.806
W  0.068  0.938  0.892
W  0.121  0.524  0.459
W  0.879  0.024  0.041
W  0.575  0.708  0.694
W  0.432  0.062  0.392
Ca  0.890  0.664  0.619
Ca  0.366  0.138  0.597
Ca  0.634  0.638  0.903
Ca  0.110  0.164  0.881
Ca  0.390  0.836  0.381
Ca  0.134  0.862  0.097
Ca  0.610  0.336  0.119
Ca  0.866  0.362  0.403

Properties
Density, kg/m³: 4354
Energy, eV/cell: -829.4